No. 1
{"formula": "BaGa4Se7", "functional": "PBE", "state": "optimized geometry", "lattice_angstrom": [[-6.521, -0.438, 1.226], [-1.072, -3.388, -6.911], [0.712, -14.893, -1.530]], "species": ["Ga", "Se", "Se", "Se", "Se", "Ga", "Se", "Ga", "Ga", "Ga", "Se", "Se", "Se", "Se", "Ba", "Ga", "Ga", "Se", "Se", "Ba", "Se", "Se", "Ga", "Se"], "frac_coords": [[0.158, 0.492, 0.772], [0.891, 0.329, 0.457], [0.018, 0.329, 0.191], [0.509, 0.098, 0.177], [0.491, 0.098, 0.677], [0.834, 0.007, 0.259], [0.982, 0.329, 0.691], [0.008, 0.000, 0.500], [0.992, 0.000, 0.000], [0.363, 0.237, 0.275], [0.496, 0.568, 0.220], [0.109, 0.329, 0.957], [0.029, 0.817, 0.196], [0.971, 0.817, 0.696], [0.353, 0.564, 0.454], [0.166, 0.007, 0.759], [0.842, 0.492, 0.272], [0.850, 0.784, 0.446], [0.504, 0.568, 0.720], [0.647, 0.564, 0.954], [0.150, 0.784, 0.946], [0.362, 0.006, 0.461], [0.637, 0.237, 0.775], [0.638, 0.006, 0.961]], "spacegroup": "No. 7"}

=====

No. 2
{"formula": "Ba5Ga4Se10", "functional": "PBE", "state": "optimized geometry", "lattice_angstrom": [[-8.940, -0.110, 0.000], [0.110, 8.940, 0.000], [-4.415, 4.415, -7.095]], "species": ["Se", "Se", "Ba", "Ga", "Ga", "Se", "Se", "Se", "Se", "Ba", "Ga", "Ga", "Se", "Ba", "Se", "Se", "Ba", "Se", "Ba"], "frac_coords": [[0.701, 0.501, 0.283], [0.001, 0.201, 0.283], [0.359, 0.150, 0.000], [0.249, 0.749, 0.499], [0.969, 0.274, 0.000], [0.803, 0.303, 0.699], [0.997, 0.008, 0.000], [0.493, 0.993, 0.705], [0.502, 0.002, 0.301], [0.154, 0.654, 0.000], [0.774, 0.469, 0.000], [0.748, 0.248, 0.501], [0.508, 0.497, 0.000], [0.754, 0.754, 0.500], [0.984, 0.785, 0.717], [0.198, 0.698, 0.295], [0.650, 0.859, 0.000], [0.285, 0.484, 0.717], [0.254, 0.254, 0.500]], "spacegroup": "No. 42"}

=====

No. 3
{"formula": "Ba4Ga4SnSe12", "functional": "PBE", "state": "optimized geometry", "lattice_angstrom": [[-3.755, -12.317, -5.471], [11.632, -0.094, -7.773], [3.194, -3.114, 4.818]], "species": ["Se", "Se", "Sn", "Ga", "Se", "Se", "Ba", "Ba", "Ba", "Ga", "Se", "Se", "Ga", "Se", "Se", "Ga", "Se", "Se", "Ga", "Se", "Ga", "Se", "Se", "Se", "Ga", "Ba", "Ba", "Sn", "Se", "Se", "Ba", "Se", "Se", "Se", "Se", "Ba", "Se", "Ga", "Se", "Se", "Se", "Ba"], "frac_coords": [[0.515, 0.859, 0.956], [0.407, 0.394, 0.746], [0.500, 0.500, 0.000], [0.245, 0.142, 0.450], [0.304, 0.291, 0.296], [0.606, 0.407, 0.254], [0.519, 0.194, 0.454], [0.481, 0.806, 0.454], [0.306, 0.981, 0.954], [0.642, 0.745, 0.950], [0.985, 0.359, 0.544], [0.394, 0.593, 0.254], [0.745, 0.358, 0.050], [0.791, 0.804, 0.796], [0.209, 0.196, 0.796], [0.755, 0.858, 0.450], [0.093, 0.894, 0.754], [0.804, 0.209, 0.204], [0.858, 0.245, 0.550], [0.907, 0.106, 0.754], [0.142, 0.755, 0.550], [0.696, 0.709, 0.296], [0.709, 0.304, 0.704], [0.291, 0.696, 0.704], [0.358, 0.255, 0.950], [0.806, 0.519, 0.546], [0.019, 0.306, 0.046], [0.000, 0.000, 0.500], [0.894, 0.907, 0.246], [0.641, 0.985, 0.456], [0.981, 0.694, 0.046], [0.141, 0.515, 0.044], [0.106, 0.093, 0.246], [0.485, 0.141, 0.956], [0.859, 0.485, 0.044], [0.194, 0.481, 0.546], [0.015, 0.641, 0.544], [0.255, 0.642, 0.050], [0.593, 0.606, 0.746], [0.196, 0.791, 0.204], [0.359, 0.015, 0.456], [0.694, 0.019, 0.954]], "spacegroup": "No. 114"}

=====

No. 4
{"formula": "Ba2YGaSe5", "functional": "PBE", "state": "optimized geometry", "lattice_angstrom": [[-0.570, 6.674, 3.152], [-3.621, 0.549, -7.987], [-6.254, -5.255, 4.928]], "species": ["Se", "Y", "Y", "Ba", "Ga", "Se", "Se", "Se", "Se", "Se", "Ba", "Se", "Se", "Se", "Ba", "Se", "Ga", "Ba"], "frac_coords": [[0.511, 0.258, 0.507], [0.002, 0.270, 0.002], [0.998, 0.730, 0.998], [0.343, 0.511, 0.707], [0.806, 0.872, 0.688], [0.295, 0.589, 0.055], [0.713, 0.909, 0.927], [0.489, 0.742, 0.493], [0.012, 0.317, 0.315], [0.988, 0.683, 0.685], [0.657, 0.489, 0.293], [0.287, 0.091, 0.073], [0.016, 0.846, 0.313], [0.984, 0.154, 0.687], [0.634, 0.978, 0.289], [0.705, 0.411, 0.945], [0.194, 0.128, 0.312], [0.366, 0.022, 0.711]], "spacegroup": "No. 2"}

=====

No. 5
{"formula": "Ba4Ga22Sn", "functional": "PBE", "state": "optimized geometry", "lattice_angstrom": [[-5.536, 5.536, 5.536], [5.536, -5.536, 5.536], [5.536, 5.536, -5.536]], "species": ["Ga", "Ba", "Ba", "Ga", "Ga", "Ga", "Ba", "Ga", "Ga", "Ga", "Ga", "Ga", "Sn", "Ga", "Ga", "Ga", "Ga", "Ga", "Ga", "Ga", "Ba", "Ga", "Ga", "Ga", "Ga", "Ga", "Ga"], "frac_coords": [[0.560, 0.836, 0.560], [0.624, 0.000, 0.000], [0.376, 0.376, 0.376], [0.750, 0.250, 0.500], [0.000, 0.440, 0.276], [0.164, 0.724, 0.724], [0.000, 0.624, 0.000], [0.440, 0.000, 0.276], [0.440, 0.276, 0.000], [0.724, 0.164, 0.724], [0.750, 0.500, 0.250], [0.724, 0.724, 0.164], [0.000, 0.000, 0.000], [0.720, 0.720, 0.720], [0.250, 0.500, 0.750], [0.836, 0.560, 0.560], [0.000, 0.280, 0.000], [0.280, 0.000, 0.000], [0.276, 0.440, 0.000], [0.250, 0.750, 0.500], [0.000, 0.000, 0.624], [0.500, 0.750, 0.250], [0.000, 0.276, 0.440], [0.500, 0.250, 0.750], [0.560, 0.560, 0.836], [0.276, 0.000, 0.440], [0.000, 0.000, 0.280]], "spacegroup": "No. 217"}

=====

No. 6
{"formula": "Ba5Ga5Sn", "functional": "PBE", "state": "optimized geometry", "lattice_angstrom": [[3.038, -5.262, 0.000], [3.038, 5.262, 0.000], [0.000, 0.000, 11.010]], "species": ["Ba", "Ga", "Ga", "Ba", "Ga", "Ba", "Sn", "Ba", "Ga", "Ba", "Ga"], "frac_coords": [[0.000, 0.000, 0.331], [0.333, 0.667, 0.674], [0.971, 0.485, 0.500], [0.667, 0.333, 0.202], [0.333, 0.667, 0.326], [0.667, 0.333, 0.798], [0.000, 0.000, 0.000], [0.000, 0.000, 0.669], [0.515, 0.485, 0.500], [0.333, 0.667, 0.000], [0.515, 0.029, 0.500]], "spacegroup": "No. 187"}

=====

No. 7
{"formula": "BaSrGa4", "functional": "PBE", "state": "optimized geometry", "lattice_angstrom": [[2.205, -3.819, 0.000], [2.205, 3.819, 0.000], [0.000, 0.000, 9.922]], "species": ["Ba", "Sr", "Ga", "Ga", "Ga", "Ga"], "frac_coords": [[0.000, 0.000, 0.500], [0.000, 0.000, 0.000], [0.667, 0.333, 0.754], [0.333, 0.667, 0.246], [0.667, 0.333, 0.246], [0.333, 0.667, 0.754]], "spacegroup": "No. 191"}

=====

No. 8
{"formula": "Ba3NaGd3Si6O20", "functional": "PBE", "state": "optimized geometry", "lattice_angstrom": [[-2.254, 12.104, 1.345], [0.977, -10.462, -6.556], [-14.373, -2.964, 2.588]], "species": ["O", "Ba", "O", "O", "O", "Si", "O", "O", "O", "O", "Na", "O", "O", "Gd", "Si", "O", "O", "O", "Si", "O", "O", "Si", "O", "Si", "Ba", "Gd", "O", "O", "Na", "Ba", "O", "Si", "O", "Ba", "Gd", "O", "Si", "O", "Si", "O", "O", "O", "Gd", "O", "Gd", "Ba", "O", "Gd", "O", "O", "O", "Si", "O", "O", "O", "Ba", "Si", "Si", "O", "Si", "O", "O", "O", "O", "O", "O"], "frac_coords": [[0.786, 0.290, 0.250], [0.688, 0.174, 0.613], [0.303, 0.415, 0.413], [0.445, 0.753, 0.662], [0.193, 0.877, 0.665], [0.442, 0.441, 0.361], [0.290, 0.786, 0.750], [0.963, 0.787, 0.534], [0.670, 0.723, 0.893], [0.723, 0.670, 0.107], [0.246, 0.469, 0.250], [0.287, 0.191, 0.385], [0.191, 0.287, 0.615], [0.002, 0.002, 0.500], [0.812, 0.114, 0.057], [0.445, 0.753, 0.838], [0.877, 0.193, 0.335], [0.370, 0.026, 0.502], [0.441, 0.442, 0.861], [0.458, 0.434, 0.750], [0.670, 0.723, 0.607], [0.715, 0.096, 0.250], [0.787, 0.963, 0.466], [0.442, 0.441, 0.139], [0.849, 0.011, 0.750], [0.614, 0.393, 0.030], [0.996, 0.349, 0.750], [0.349, 0.996, 0.250], [0.469, 0.246, 0.750], [0.011, 0.849, 0.250], [0.430, 0.812, 0.250], [0.640, 0.282, 0.250], [0.434, 0.458, 0.250], [0.688, 0.174, 0.887], [0.614, 0.393, 0.470], [0.877, 0.193, 0.165], [0.114, 0.812, 0.943], [0.026, 0.370, 0.498], [0.096, 0.715, 0.750], [0.963, 0.787, 0.966], [0.542, 0.920, 0.469], [0.287, 0.191, 0.115], [0.393, 0.614, 0.530], [0.753, 0.445, 0.162], [0.393, 0.614, 0.970], [0.174, 0.688, 0.387], [0.920, 0.542, 0.969], [0.002, 0.002, 0.000], [0.191, 0.287, 0.885], [0.812, 0.430, 0.750], [0.542, 0.920, 0.031], [0.114, 0.812, 0.557], [0.415, 0.303, 0.587], [0.723, 0.670, 0.393], [0.370, 0.026, 0.998], [0.174, 0.688, 0.113], [0.441, 0.442, 0.639], [0.282, 0.640, 0.750], [0.026, 0.370, 0.002], [0.812, 0.114, 0.443], [0.787, 0.963, 0.034], [0.193, 0.877, 0.835], [0.920, 0.542, 0.531], [0.415, 0.303, 0.913], [0.303, 0.415, 0.087], [0.753, 0.445, 0.338]], "spacegroup": "No. 40"}

=====

No. 9
{"formula": "Ba2GdNbO6", "functional": "PBE", "state": "optimized geometry", "lattice_angstrom": [[1.044, -5.445, 2.507], [-4.356, -4.248, -0.027], [0.569, -4.919, -3.536]], "species": ["O", "Ba", "Ba", "O", "Nb", "O", "O", "O", "O", "Gd"], "frac_coords": [[0.765, 0.765, 0.235], [0.250, 0.250, 0.250], [0.750, 0.750, 0.750], [0.235, 0.235, 0.765], [0.000, 0.000, 0.000], [0.235, 0.765, 0.235], [0.765, 0.235, 0.765], [0.765, 0.235, 0.235], [0.235, 0.765, 0.765], [0.500, 0.500, 0.500]], "spacegroup": "No. 225"}

=====

No. 10
{"formula": "Ba2GdNbO6", "functional": "PBE", "state": "optimized geometry", "lattice_angstrom": [[2.221, -5.364, 1.802], [-5.204, -1.204, 2.901], [-0.063, 1.447, -5.904]], "species": ["O", "Gd", "Nb", "Ba", "O", "O", "O", "Ba", "O", "O"], "frac_coords": [[0.764, 0.295, 0.060], [0.000, 0.000, 0.000], [0.500, 0.500, 0.000], [0.250, 0.750, 0.500], [0.705, 0.764, 0.469], [0.264, 0.264, 0.000], [0.736, 0.736, 0.000], [0.750, 0.250, 0.500], [0.295, 0.236, 0.531], [0.236, 0.705, 0.940]], "spacegroup": "No. 87"}

=====

No. 11
{"formula": "BaGdNbSnO6", "functional": "PBE", "state": "optimized geometry", "lattice_angstrom": [[8.446, 0.000, 0.000], [0.000, 8.525, 0.000], [0.000, 0.000, 8.536]], "species": ["O", "O", "O", "O", "Sn", "Sn", "Nb", "Nb", "Gd", "O", "Nb", "O", "Ba", "O", "Ba", "O", "O", "O", "Ba", "Ba", "Nb", "O", "O", "O", "Gd", "Sn", "O", "O", "Gd", "O", "Sn", "O", "O", "O", "O", "O", "Gd", "O", "O", "O"], "frac_coords": [[0.786, 0.708, 0.016], [0.016, 0.214, 0.274], [0.484, 0.714, 0.774], [0.786, 0.292, 0.984], [0.000, 0.500, 0.000], [0.500, 0.000, 0.500], [0.250, 0.750, 0.750], [0.250, 0.250, 0.250], [0.750, 0.250, 0.250], [0.984, 0.786, 0.274], [0.750, 0.750, 0.250], [0.281, 0.984, 0.797], [0.000, 0.000, 0.000], [0.219, 0.516, 0.703], [0.000, 0.000, 0.500], [0.281, 0.016, 0.203], [0.214, 0.292, 0.016], [0.719, 0.984, 0.203], [0.500, 0.500, 0.000], [0.500, 0.500, 0.500], [0.750, 0.250, 0.750], [0.214, 0.708, 0.984], [0.781, 0.516, 0.297], [0.714, 0.208, 0.516], [0.250, 0.750, 0.250], [0.500, 0.000, 0.000], [0.781, 0.484, 0.703], [0.016, 0.786, 0.726], [0.250, 0.250, 0.750], [0.219, 0.484, 0.297], [0.000, 0.500, 0.500], [0.286, 0.208, 0.484], [0.714, 0.792, 0.484], [0.516, 0.714, 0.226], [0.484, 0.286, 0.226], [0.516, 0.286, 0.774], [0.750, 0.750, 0.750], [0.286, 0.792, 0.516], [0.719, 0.016, 0.797], [0.984, 0.214, 0.726]], "spacegroup": "No. 48"}

=====

No. 12
{"formula": "BaGdNbSnO6", "functional": "PBE", "state": "optimized geometry", "lattice_angstrom": [[0.000, -4.280, -4.280], [4.280, 0.000, -4.280], [4.280, -4.280, 0.000]], "species": ["O", "Sn", "O", "O", "Nb", "Ba", "O", "O", "Gd", "O"], "frac_coords": [[0.265, 0.735, 0.265], [0.750, 0.750, 0.750], [0.735, 0.265, 0.735], [0.735, 0.735, 0.265], [0.500, 0.500, 0.500], [0.250, 0.250, 0.250], [0.265, 0.265, 0.735], [0.735, 0.265, 0.265], [0.000, 0.000, 0.000], [0.265, 0.735, 0.735]], "spacegroup": "No. 216"}

=====

Number 1: ΔH_f (0 K) -1146.0 meV/atom. Number 2: ΔH_f (0 K) -1614.9 meV/atom. Number 3: ΔH_f (0 K) -1445.3 meV/atom. Number 4: ΔH_f (0 K) -1911.8 meV/atom. Number 5: ΔH_f (0 K) -214.9 meV/atom. Number 6: ΔH_f (0 K) -490.8 meV/atom. Number 7: ΔH_f (0 K) -481.2 meV/atom. Number 8: ΔH_f (0 K) -3479.9 meV/atom. Number 9: ΔH_f (0 K) -3418.9 meV/atom. Number 10: ΔH_f (0 K) -3424.0 meV/atom. Number 11: ΔH_f (0 K) -2973.9 meV/atom. Number 12: ΔH_f (0 K) -2927.3 meV/atom.